1.
A relaxed LiBiP4O12 crystal. Source: the Materials Project database, functional GGA-PBE.

Cell: 8.960 7.239 17.118 Å, 65.32 90.00 90.00°
Fractional coordinates of all 72 atoms:
O  0.732  0.635  0.018
O  0.172  0.761  0.145
O  0.897  0.779  0.376
O  0.787  0.447  0.424
O  0.768  0.635  0.518
O  0.907  0.628  0.156
O  0.085  0.486  0.286
O  0.232  0.365  0.482
O  0.672  0.239  0.355
O  0.598  0.117  0.947
O  0.109  0.256  0.120
O  0.159  0.893  0.980
O  0.841  0.107  0.020
O  0.982  0.850  0.227
O  0.415  0.486  0.786
O  0.385  0.860  0.244
O  0.133  0.968  0.327
O  0.891  0.744  0.880
O  0.213  0.553  0.576
O  0.915  0.514  0.714
O  0.093  0.372  0.844
O  0.268  0.365  0.982
O  0.391  0.256  0.620
O  0.633  0.032  0.173
O  0.103  0.221  0.624
O  0.593  0.628  0.656
O  0.828  0.239  0.855
O  0.609  0.744  0.380
O  0.585  0.514  0.214
O  0.885  0.140  0.256
O  0.867  0.032  0.673
O  0.615  0.140  0.756
O  0.518  0.850  0.727
O  0.341  0.893  0.480
O  0.397  0.221  0.124
O  0.115  0.860  0.744
O  0.603  0.779  0.876
O  0.902  0.117  0.447
O  0.659  0.107  0.520
O  0.407  0.372  0.344
O  0.367  0.968  0.827
O  0.713  0.447  0.924
O  0.328  0.761  0.645
O  0.018  0.150  0.773
O  0.287  0.553  0.076
O  0.482  0.150  0.273
O  0.098  0.883  0.553
O  0.402  0.883  0.053
P  0.977  0.954  0.295
P  0.251  0.336  0.075
P  0.477  0.046  0.205
P  0.533  0.336  0.292
P  0.523  0.954  0.795
P  0.749  0.664  0.925
P  0.467  0.664  0.708
P  0.249  0.336  0.575
P  0.033  0.664  0.208
P  0.247  0.779  0.559
P  0.751  0.664  0.425
P  0.023  0.046  0.705
P  0.253  0.779  0.059
P  0.753  0.221  0.441
P  0.967  0.336  0.792
P  0.747  0.221  0.941
Li  0.080  0.657  0.855
Li  0.580  0.343  0.645
Li  0.420  0.657  0.355
Li  0.920  0.343  0.145
Bi  0.178  0.179  0.401
Bi  0.822  0.821  0.599
Bi  0.322  0.179  0.901
Bi  0.678  0.821  0.099

Space-group type: No. 14
Mass density: 3.5 Mg/m³
Uncorrected energy: -123.5 eV per formula unit
Magnetic moment: 0.000 μB/f.u.

2.
A relaxed LiBiP4O12 crystal. Source: the Materials Project database, functional GGA-PBE.

Cell: 8.292 9.992 13.570 Å, 90.00 90.00 90.00°
Fractional coordinates of all 72 atoms:
O  0.085  0.934  0.766
O  0.834  0.121  0.065
O  0.624  0.377  0.145
O  0.666  0.621  0.435
O  0.085  0.566  0.234
O  0.124  0.123  0.645
O  0.404  0.874  0.396
O  0.404  0.626  0.604
O  0.651  0.524  0.825
O  0.096  0.126  0.896
O  0.376  0.623  0.855
O  0.651  0.976  0.175
O  0.096  0.374  0.104
O  0.349  0.476  0.175
O  0.334  0.121  0.435
O  0.437  0.115  0.084
O  0.937  0.115  0.416
O  0.166  0.879  0.935
O  0.904  0.626  0.896
O  0.596  0.126  0.604
O  0.876  0.877  0.355
O  0.063  0.885  0.584
O  0.849  0.024  0.675
O  0.915  0.434  0.766
O  0.063  0.615  0.416
O  0.666  0.879  0.565
O  0.849  0.476  0.325
O  0.624  0.123  0.855
O  0.563  0.885  0.916
O  0.415  0.434  0.734
O  0.585  0.566  0.266
O  0.334  0.379  0.565
O  0.166  0.621  0.065
O  0.151  0.524  0.675
O  0.349  0.024  0.825
O  0.376  0.877  0.145
O  0.585  0.934  0.734
O  0.124  0.377  0.355
O  0.437  0.385  0.916
O  0.151  0.976  0.325
O  0.415  0.066  0.266
O  0.834  0.379  0.935
O  0.937  0.385  0.584
O  0.915  0.066  0.234
O  0.876  0.623  0.645
O  0.904  0.874  0.104
O  0.596  0.374  0.396
O  0.563  0.615  0.084
Li  0.973  0.750  0.000
Li  0.527  0.250  0.500
Li  0.473  0.750  0.500
Li  0.027  0.250  0.000
P  0.037  0.993  0.661
P  0.832  0.002  0.136
P  0.463  0.007  0.161
P  0.963  0.493  0.661
P  0.668  0.998  0.636
P  0.463  0.493  0.839
P  0.168  0.998  0.864
P  0.537  0.993  0.839
P  0.668  0.502  0.364
P  0.832  0.498  0.864
P  0.332  0.002  0.364
P  0.168  0.502  0.136
P  0.537  0.507  0.161
P  0.963  0.007  0.339
P  0.332  0.498  0.636
P  0.037  0.507  0.339
Bi  0.123  0.250  0.500
Bi  0.877  0.750  0.500
Bi  0.623  0.250  0.000
Bi  0.377  0.750  0.000

Space-group type: No. 60
Mass density: 3.1 Mg/m³
Uncorrected energy: -124.2 eV per formula unit
Magnetic moment: 0.000 μB/f.u.

3.
A relaxed LiBiP4O12 crystal. Source: the Materials Project database, functional GGA-PBE.

Cell: 9.122 9.122 10.026 Å, 56.95 56.95 46.75°
Fractional coordinates of all 36 atoms:
P  0.987  0.313  0.406
P  0.415  0.311  0.662
P  0.013  0.687  0.594
P  0.585  0.689  0.338
P  0.311  0.415  0.162
P  0.687  0.013  0.094
P  0.689  0.585  0.838
P  0.313  0.987  0.906
O  0.990  0.164  0.576
O  0.164  0.990  0.076
O  0.167  0.351  0.338
O  0.351  0.167  0.838
O  0.825  0.394  0.952
O  0.779  0.546  0.412
O  0.437  0.430  0.201
O  0.430  0.437  0.701
O  0.394  0.825  0.452
O  0.005  0.243  0.287
O  0.221  0.454  0.588
O  0.649  0.833  0.162
O  0.757  0.995  0.213
O  0.836  0.010  0.924
O  0.563  0.570  0.799
O  0.454  0.221  0.088
O  0.995  0.757  0.713
O  0.175  0.606  0.048
O  0.010  0.836  0.424
O  0.606  0.175  0.548
O  0.833  0.649  0.662
O  0.546  0.779  0.912
O  0.243  0.005  0.787
O  0.570  0.563  0.299
Li  0.000  0.000  0.000
Li  0.000  0.000  0.500
Bi  0.755  0.245  0.250
Bi  0.245  0.755  0.750

Space-group type: No. 15
Mass density: 3.6 Mg/m³
Uncorrected energy: -123.5 eV per formula unit
Magnetic moment: 0.000 μB/f.u.